CaB3O8: optimized geometry, PBE-GGA.

abc: 6.316 11.732 8.725
angles: 90.00 113.52 90.00
Space group P2_1/c (No. 14)
Asymmetric unit:
Ca: 0.162 0.229 0.107 x4
B: 0.122 0.552 0.802 x4
B: 0.282 0.697 0.668 x4
B: 0.434 0.688 0.980 x4
O: 0.062 0.077 0.646 x4
O: 0.095 0.066 0.247 x4
O: 0.101 0.626 0.658 x4
O: 0.270 0.736 0.517 x4
O: 0.330 0.574 0.954 x4
O: 0.332 0.202 0.396 x4
O: 0.446 0.729 0.819 x4
O: 0.466 0.010 0.055 x4

Results
E above lowest polymorph ... 0.0000 eV per atom
Crystal system ... monoclinic
Size of the total moment ... 15.99 Bohr magnetons per cell

Ti2FeRu: optimized geometry, PBE-GGA.

abc: 6.059 6.059 6.059
angles: 90.00 90.00 90.00
Space group Fm-3m (No. 225)
Asymmetric unit:
Ti: 0.250 0.250 0.250 x8
Fe: 0.000 0.000 0.000 x4
Ru: 0.000 0.000 0.500 x4

Results
Crystal system ... cubic
Final energy ... -8.96 eV/atom

Rb2MnI4: optimized geometry, PBE-GGA.

abc: 8.169 8.385 10.285
angles: 90.00 108.49 90.00
Space group P2_1/m (No. 11)
Asymmetric unit:
Rb: 0.214 0.250 0.050 x2
Rb: 0.267 0.250 0.568 x2
Mn: 0.224 0.750 0.800 x2
I: 0.005 0.001 0.739 x4
I: 0.396 0.750 0.069 x2
I: 0.416 0.750 0.630 x2

Results
Crystal system ... monoclinic
Final energy ... -3.54 eV/atom

CeAlIr: optimized geometry, PBE-GGA.

abc: 4.4487 4.4487 6.9442
angles: 90.00 90.00 120.00
Space group P6_3/mmc (No. 194)
Asymmetric unit:
Ce: 0.0000 0.0000 0.0000 x2
Al: 0.3333 0.6667 0.2500 x2
Ir: 0.3333 0.6667 0.7500 x2

Results
Crystal system ... hexagonal
Final energy ... -6.93 eV/atom
Size of the total moment ... 0.00 Bohr magnetons per cell

Be13W: optimized geometry, PBE-GGA.

abc: 13.777 13.777 13.777
angles: 90.00 90.00 90.00
Space group Fd-3m (No. 227, origin choice 2)
Asymmetric unit:
Be: 0.008 0.008 0.116 x96
Be: 0.021 0.021 0.344 x96
Be: 0.125 0.125 0.125 x8
Be: 0.125 0.125 0.625 x8
W: 0.000 0.000 0.500 x16

Results
E above lowest polymorph ... 0.0920 eV per atom
Crystal system ... cubic
Size of the total moment ... 0.09 Bohr magnetons per cell

LaMg: optimized geometry, PBE-GGA.

abc: 5.688 3.806 17.053
angles: 90.00 90.00 90.00
Space group Amm2 (No. 38)
Asymmetric unit:
La: 0.000 0.000 0.000 x2
La: 0.000 0.000 0.335 x2
La: 0.500 0.000 0.184 x2
Mg: 0.000 0.000 0.662 x2
Mg: 0.500 0.000 0.515 x2
Mg: 0.500 0.000 0.869 x2

Results
E above lowest polymorph ... 0.0609 eV per atom
Crystal system ... orthorhombic
Size of the total moment ... 0.25 Bohr magnetons per cell

Sr2NbSbO6: optimized geometry, PBE-GGA.

abc: 8.489 8.489 8.489
angles: 90.00 90.00 90.00
Space group Fm-3m (No. 225)
Asymmetric unit:
Sr: 0.250 0.250 0.250 x8
Nb: 0.000 0.000 0.000 x4
Sb: 0.000 0.000 0.500 x4
O: 0.000 0.000 0.237 x24

Results
Crystal system ... cubic
Final energy ... -7.06 eV/atom
Size of the total moment ... 0.00 Bohr magnetons per cell

Sm3Ir: optimized geometry, PBE-GGA.

abc: 7.322 9.706 6.487
angles: 90.00 90.00 90.00
Space group Pnma (No. 62)
Asymmetric unit:
Sm: 0.036 0.250 0.141 x4
Sm: 0.176 0.065 0.672 x8
Ir: 0.119 0.750 0.443 x4

Results
Crystal system ... orthorhombic
Final energy ... -6.25 eV/atom

ScCo6Ge6: optimized geometry, PBE-GGA.

abc: 5.0437 5.0437 7.7906
angles: 90.00 90.00 120.00
Space group P6/mmm (No. 191)
Asymmetric unit:
Sc: 0.0000 0.0000 0.0000 x1
Co: 0.0000 0.5000 0.2496 x6
Ge: 0.0000 0.0000 0.3398 x2
Ge: 0.3333 0.6667 0.0000 x2
Ge: 0.3333 0.6667 0.5000 x2

Results
Crystal system ... hexagonal
Final energy ... -6.26 eV/atom
Size of the total moment ... 0.03 Bohr magnetons per cell

Tm2SO2: optimized geometry, PBE-GGA.

abc: 3.7419 3.7419 6.5292
angles: 90.00 90.00 120.00
Space group P-3m1 (No. 164)
Asymmetric unit:
Tm: 0.3333 0.6667 0.2167 x2
S: 0.0000 0.0000 0.5000 x1
O: 0.3333 0.6667 0.8705 x2

Results
Crystal system ... trigonal
Final energy ... -7.85 eV/atom

Y2Fe17C: optimized geometry, PBE-GGA.

abc: 8.254 8.567 14.901
angles: 90.00 90.00 90.00
Space group Amm2 (No. 38)
Asymmetric unit:
Y: 0.000 0.000 0.000 x2
Y: 0.000 0.000 0.326 x2
Y: 0.500 0.000 0.332 x2
Y: 0.500 0.000 0.664 x2
Fe: 0.000 0.138 0.520 x4
Fe: 0.000 0.146 0.805 x4
Fe: 0.000 0.212 0.166 x4
Fe: 0.145 0.000 0.664 x4
Fe: 0.230 0.000 0.165 x4
Fe: 0.232 0.249 0.915 x8
Fe: 0.252 0.249 0.582 x8
Fe: 0.253 0.000 0.829 x4
Fe: 0.270 0.250 0.247 x8
Fe: 0.272 0.000 0.499 x4
Fe: 0.356 0.000 0.998 x4
Fe: 0.500 0.143 0.145 x4
Fe: 0.500 0.150 0.853 x4
Fe: 0.500 0.210 0.495 x4
C: 0.000 0.247 0.413 x4

Results
Crystal system ... orthorhombic
Final energy ... -8.34 eV/atom
Size of the total moment ... 151.81 Bohr magnetons per cell

Cs2Hg3Ge2S8: optimized geometry, PBE-GGA.

abc: 6.725 8.097 9.447
angles: 108.02 92.35 106.69
Space group P-1 (No. 2)
Asymmetric unit:
Cs: 0.110 0.459 0.242 x2
Hg: 0.317 0.070 0.387 x2
Hg: 0.500 0.000 0.000 x1
Ge: 0.259 0.155 0.758 x2
S: 0.057 0.867 0.166 x2
S: 0.283 0.880 0.629 x2
S: 0.333 0.339 0.620 x2
S: 0.484 0.282 0.978 x2

Results
Crystal system ... triclinic
Final energy ... -3.53 eV/atom
Size of the total moment ... 0.00 Bohr magnetons per cell

Na2PtO6: optimized geometry, PBE-GGA.

abc: 5.8553 5.8553 3.9539
angles: 90.00 90.00 120.00
Space group P-31m (No. 162)
Asymmetric unit:
Na: 0.3333 0.6667 0.0000 x2
Pt: 0.0000 0.0000 0.0000 x1
O: 0.0000 0.2651 0.2834 x6

Results
E above lowest polymorph ... 0.0183 eV per atom
Crystal system ... trigonal
Size of the total moment ... 3.11 Bohr magnetons per cell

W2C: optimized geometry, PBE-GGA.

abc: 4.756 6.111 5.237
angles: 90.00 90.00 90.00
Space group Pbcn (No. 60)
Asymmetric unit:
W: 0.245 0.124 0.081 x8
C: 0.000 0.378 0.250 x4

Results
Crystal system ... orthorhombic
Final energy ... -11.73 eV/atom
Size of the total moment ... 0.00 Bohr magnetons per cell

BeNi: optimized geometry, PBE-GGA.

abc: 2.605 2.605 2.605
angles: 90.00 90.00 90.00
Space group Pm-3m (No. 221)
Asymmetric unit:
Be: 0.000 0.000 0.000 x1
Ni: 0.500 0.500 0.500 x1

Results
Crystal system ... cubic
Final energy ... -5.23 eV/atom

MgSi2: optimized geometry, PBE-GGA.

abc: 9.641 4.475 10.155
angles: 90.00 100.69 90.00
Space group C2/m (No. 12)
Asymmetric unit:
Mg: 0.053 0.000 0.354 x4
Mg: 0.108 0.500 0.858 x4
Si: 0.089 0.000 0.096 x4
Si: 0.124 0.500 0.570 x4
Si: 0.190 0.500 0.143 x4
Si: 0.241 0.000 0.618 x4

Results
E above lowest polymorph ... 0.1272 eV per atom
Crystal system ... monoclinic
Size of the total moment ... 0.00 Bohr magnetons per cell

HfTe3Se8: optimized geometry, PBE-GGA.

abc: 7.271 8.054 13.241
angles: 96.23 99.13 102.40
Space group P-1 (No. 2)
Asymmetric unit:
Hf: 0.102 0.257 0.498 x2
Te: 0.062 0.173 0.893 x2
Te: 0.071 0.637 0.782 x2
Te: 0.489 0.959 0.317 x2
Se: 0.156 0.189 0.093 x2
Se: 0.190 0.591 0.596 x2
Se: 0.216 0.951 0.481 x2
Se: 0.252 0.292 0.338 x2
Se: 0.266 0.731 0.154 x2
Se: 0.269 0.496 0.929 x2
Se: 0.361 0.912 0.843 x2
Se: 0.375 0.313 0.668 x2

Results
Crystal system ... triclinic
Final energy ... -4.13 eV/atom
Size of the total moment ... 0.00 Bohr magnetons per cell

| no. | density (Mg/m³) |
| --- | --- |
| 1 | 2.25 |
| 2 | 7.55 |
| 3 | 3.65 |
| 4 | 10.03 |
| 5 | 3.06 |
| 6 | 4.40 |
| 7 | 5.28 |
| 8 | 9.27 |
| 9 | 8.07 |
| 10 | 8.43 |
| 11 | 7.18 |
| 12 | 4.54 |
| 13 | 4.77 |
| 14 | 16.57 |
| 15 | 6.36 |
| 16 | 2.48 |
| 17 | 5.36 |